Record 1
A relaxed Ba3SrY2Sb2O12 crystal. Source: Materials Project, functional PBE-GGA.

Cell lengths 6.000, 6.004, 10.388 Å; angles 73.28, 73.22, 60.03 degrees
Space group P1 (No. 1)
Unique sites:
1 Ba 0.000 0.000 0.000 [1 per cell]
2 Ba 0.249 0.250 0.251 [1 per cell]
3 Ba 0.499 0.499 0.503 [1 per cell]
4 Sr 0.751 0.749 0.752 [1 per cell]
5 Y 0.375 0.375 0.875 [1 per cell]
6 Y 0.874 0.874 0.378 [1 per cell]
7 Sb 0.124 0.124 0.628 [1 per cell]
8 Sb 0.625 0.625 0.125 [1 per cell]
9 O 0.003 0.481 0.512 [1 per cell]
10 O 0.037 0.996 0.499 [1 per cell]
11 O 0.203 0.262 0.755 [1 per cell]
12 O 0.244 0.769 0.746 [1 per cell]
13 O 0.261 0.732 0.234 [1 per cell]
14 O 0.493 0.011 0.525 [1 per cell]
15 O 0.509 0.978 0.005 [1 per cell]
16 O 0.541 0.501 0.993 [1 per cell]
17 O 0.713 0.753 0.254 [1 per cell]
18 O 0.742 0.269 0.244 [1 per cell]
19 O 0.759 0.223 0.735 [1 per cell]
20 O 0.990 0.517 0.017 [1 per cell]

Summary:
Volume: 306 Å³/cell
E (MP2020): -7.47 eV per atom

***

Record 2
A relaxed LiSi6Bi9O26 crystal. Source: Materials Project, functional PBE-GGA.

Cell lengths 9.7182, 9.7182, 14.1493 Å; angles 90.00, 90.00, 120.00 degrees
Space group P-3 (No. 147)
Unique sites:
1 Li 0.3333 0.6667 0.2422 [2 per cell]
2 Si 0.0246 0.6242 0.8744 [6 per cell]
3 Si 0.0295 0.6278 0.3724 [6 per cell]
4 Bi 0.0109 0.2413 0.8740 [6 per cell]
5 Bi 0.0121 0.2410 0.3732 [6 per cell]
6 Bi 0.3333 0.6667 0.0197 [2 per cell]
7 Bi 0.3333 0.6667 0.4865 [2 per cell]
8 Bi 0.3333 0.6667 0.7447 [2 per cell]
9 O 0.0000 0.0000 0.1269 [2 per cell]
10 O 0.0000 0.0000 0.3778 [2 per cell]
11 O 0.0795 0.7593 0.2860 [6 per cell]
12 O 0.0898 0.7484 0.9655 [6 per cell]
13 O 0.0900 0.7505 0.7841 [6 per cell]
14 O 0.0959 0.7491 0.4654 [6 per cell]
15 O 0.1215 0.5257 0.8719 [6 per cell]
16 O 0.1323 0.5347 0.3709 [6 per cell]
17 O 0.1618 0.4976 0.6263 [6 per cell]
18 O 0.1685 0.4930 0.1279 [6 per cell]

Summary:
Volume: 1157 Å³/cell
E (MP2020): -7.10 eV per atom

***

Across the entries above, formation energy takes the values -3.07 -2.38 eV/atom, respectively.